The following is a DFT calculation (GGA+U) of a relaxed structure of Li3FeSiO5.

a b c (Å): 5.124 5.749 6.273
angles (deg): 76.24 75.97 73.49
Positions (direct):
O1 0.159 0.046 0.091
O2 0.161 0.579 0.111
O3 0.000 0.240 0.526
O4 0.000 0.760 0.474
O5 0.353 0.331 0.718
O6 0.647 0.669 0.282
O7 0.839 0.421 0.889
O8 0.841 0.954 0.909
O9 0.354 0.881 0.716
O10 0.646 0.119 0.284
Si1 0.101 0.151 0.789
Si2 0.899 0.849 0.211
Li1 0.702 0.554 0.601
Li2 0.513 0.245 0.994
Li3 0.298 0.446 0.399
Li4 0.681 0.050 0.608
Li5 0.487 0.755 0.006
Li6 0.319 0.950 0.392
Fe1 0.897 0.346 0.223
Fe2 0.103 0.654 0.777

Output
- Total magnetization: 10.0 μB/cell
- Relative energy among the computed polymorphs: 85.3 meV per atom
- Total DFT energy (no corrections): -6.280 eV per atom
- Formation enthalpy at 0 K: -2.413 eV per atom